No. 1
# Cu3P8Se6I3 | the Materials Project | GGA-PBE | relaxed
# - Energy of formation from the pure elements: -353 kJ/mol of formula units
# - M_tot: 0.01 μB per formula unit
# - Space-group type: Pnma (62)
data_Cu3P8Se6I3
_chemical_formula_sum 'Cu12 P32 Se24 I12'
_symmetry_space_group_name_H-M 'P 1'
_symmetry_Int_Tables_number 1
_cell_length_a 7.964
_cell_length_b 27.511
_cell_length_c 10.070
_cell_angle_alpha 90.00
_cell_angle_beta 90.00
_cell_angle_gamma 90.00
loop_
_symmetry_equiv_pos_as_xyz
'x,y,z'
loop_
_atom_site_label
_atom_site_type_symbol
_atom_site_fract_x
_atom_site_fract_y
_atom_site_fract_z
Cu1 Cu 0.065 0.250 0.119
Cu2 Cu 0.204 0.002 0.501
Cu3 Cu 0.204 0.498 0.501
Cu4 Cu 0.296 0.502 0.001
Cu5 Cu 0.296 0.998 0.001
Cu6 Cu 0.435 0.750 0.619
Cu7 Cu 0.565 0.250 0.381
Cu8 Cu 0.704 0.002 0.999
Cu9 Cu 0.704 0.498 0.999
Cu10 Cu 0.796 0.502 0.499
Cu11 Cu 0.796 0.998 0.499
Cu12 Cu 0.935 0.750 0.881
P1 P 0.005 0.092 0.761
P2 P 0.005 0.408 0.761
P3 P 0.022 0.181 0.005
P4 P 0.022 0.319 0.005
P5 P 0.140 0.064 0.944
P6 P 0.140 0.436 0.944
P7 P 0.141 0.568 0.055
P8 P 0.141 0.932 0.055
P9 P 0.359 0.068 0.555
P10 P 0.359 0.432 0.555
P11 P 0.360 0.564 0.444
P12 P 0.360 0.936 0.444
P13 P 0.478 0.681 0.505
P14 P 0.478 0.819 0.505
P15 P 0.495 0.592 0.261
P16 P 0.495 0.908 0.261
P17 P 0.505 0.092 0.739
P18 P 0.505 0.408 0.739
P19 P 0.522 0.181 0.495
P20 P 0.522 0.319 0.495
P21 P 0.640 0.064 0.556
P22 P 0.640 0.436 0.556
P23 P 0.641 0.568 0.445
P24 P 0.641 0.932 0.445
P25 P 0.859 0.068 0.945
P26 P 0.859 0.432 0.945
P27 P 0.860 0.564 0.056
P28 P 0.860 0.936 0.056
P29 P 0.978 0.681 0.995
P30 P 0.978 0.819 0.995
P31 P 0.995 0.592 0.239
P32 P 0.995 0.908 0.239
Se1 Se 0.017 0.174 0.779
Se2 Se 0.017 0.326 0.779
Se3 Se 0.207 0.636 0.940
Se4 Se 0.207 0.864 0.940
Se5 Se 0.234 0.129 0.057
Se6 Se 0.234 0.371 0.057
Se7 Se 0.266 0.629 0.557
Se8 Se 0.266 0.871 0.557
Se9 Se 0.293 0.136 0.440
Se10 Se 0.293 0.364 0.440
Se11 Se 0.483 0.674 0.279
Se12 Se 0.483 0.826 0.279
Se13 Se 0.517 0.174 0.721
Se14 Se 0.517 0.326 0.721
Se15 Se 0.707 0.636 0.560
Se16 Se 0.707 0.864 0.560
Se17 Se 0.734 0.129 0.443
Se18 Se 0.734 0.371 0.443
Se19 Se 0.766 0.629 0.943
Se20 Se 0.766 0.871 0.943
Se21 Se 0.793 0.136 0.060
Se22 Se 0.793 0.364 0.060
Se23 Se 0.983 0.674 0.221
Se24 Se 0.983 0.826 0.221
I1 I 0.001 0.531 0.689
I2 I 0.001 0.969 0.689
I3 I 0.093 0.750 0.651
I4 I 0.407 0.250 0.151
I5 I 0.499 0.031 0.189
I6 I 0.499 0.469 0.189
I7 I 0.501 0.531 0.811
I8 I 0.501 0.969 0.811
I9 I 0.593 0.750 0.849
I10 I 0.907 0.250 0.349
I11 I 0.999 0.031 0.311
I12 I 0.999 0.469 0.311

=====

No. 2
# CuP4Se3I | the Materials Project | GGA-PBE | relaxed
# - Energy of formation from the pure elements: -129 kJ/mol of formula units
# - M_tot: 0.00 μB per formula unit
# - Space-group type: Cmce (64)
data_CuP4Se3I
_chemical_formula_sum 'Cu4 P16 Se12 I4'
_symmetry_space_group_name_H-M 'P 1'
_symmetry_Int_Tables_number 1
_cell_length_a 12.132
_cell_length_b 12.132
_cell_length_c 11.018
_cell_angle_alpha 90.00
_cell_angle_beta 90.00
_cell_angle_gamma 141.54
loop_
_symmetry_equiv_pos_as_xyz
'x,y,z'
loop_
_atom_site_label
_atom_site_type_symbol
_atom_site_fract_x
_atom_site_fract_y
_atom_site_fract_z
Cu1 Cu 0.200 0.200 0.000
Cu2 Cu 0.300 0.300 0.500
Cu3 Cu 0.700 0.700 0.500
Cu4 Cu 0.800 0.800 0.000
P1 P 0.061 0.220 0.456
P2 P 0.115 0.885 0.708
P3 P 0.219 0.781 0.473
P4 P 0.220 0.061 0.544
P5 P 0.280 0.439 0.044
P6 P 0.281 0.719 0.973
P7 P 0.385 0.615 0.208
P8 P 0.439 0.280 0.956
P9 P 0.561 0.720 0.044
P10 P 0.615 0.385 0.792
P11 P 0.719 0.281 0.027
P12 P 0.720 0.561 0.956
P13 P 0.780 0.939 0.456
P14 P 0.781 0.219 0.527
P15 P 0.885 0.115 0.292
P16 P 0.939 0.780 0.544
Se1 Se 0.060 0.376 0.569
Se2 Se 0.124 0.440 0.931
Se3 Se 0.213 0.787 0.681
Se4 Se 0.287 0.713 0.181
Se5 Se 0.376 0.060 0.431
Se6 Se 0.440 0.124 0.069
Se7 Se 0.560 0.876 0.931
Se8 Se 0.624 0.940 0.569
Se9 Se 0.713 0.287 0.819
Se10 Se 0.787 0.213 0.319
Se11 Se 0.876 0.560 0.069
Se12 Se 0.940 0.624 0.431
I1 I 0.033 0.967 0.179
I2 I 0.467 0.533 0.679
I3 I 0.533 0.467 0.321
I4 I 0.967 0.033 0.821

=====

No. 3
# RbCu2I3 | the Materials Project | GGA-PBE | relaxed
# - Energy of formation from the pure elements: -456 kJ/mol of formula units
# - Space-group type: Cmcm (63)
data_RbCu2I3
_chemical_formula_sum 'Rb2 Cu4 I6'
_symmetry_space_group_name_H-M 'P 1'
_symmetry_Int_Tables_number 1
_cell_length_a 8.823
_cell_length_b 8.823
_cell_length_c 5.641
_cell_angle_alpha 90.00
_cell_angle_beta 90.00
_cell_angle_gamma 102.88
loop_
_symmetry_equiv_pos_as_xyz
'x,y,z'
loop_
_atom_site_label
_atom_site_type_symbol
_atom_site_fract_x
_atom_site_fract_y
_atom_site_fract_z
Rb1 Rb 0.184 0.816 0.750
Rb2 Rb 0.816 0.184 0.250
Cu1 Cu 0.341 0.341 0.000
Cu2 Cu 0.341 0.341 0.500
Cu3 Cu 0.659 0.659 0.000
Cu4 Cu 0.659 0.659 0.500
I1 I 0.088 0.337 0.750
I2 I 0.337 0.088 0.250
I3 I 0.388 0.612 0.250
I4 I 0.612 0.388 0.750
I5 I 0.663 0.912 0.750
I6 I 0.912 0.663 0.250

=====

No. 4
# RbCu2I3 | the Materials Project | GGA-PBE | relaxed
# - Energy of formation from the pure elements: -459 kJ/mol of formula units
# - M_tot: 0.00 μB per formula unit
# - Space-group type: Pnma (62)
data_RbCu2I3
_chemical_formula_sum 'Rb4 Cu8 I12'
_symmetry_space_group_name_H-M 'P 1'
_symmetry_Int_Tables_number 1
_cell_length_a 13.899
_cell_length_b 5.400
_cell_length_c 11.244
_cell_angle_alpha 90.00
_cell_angle_beta 90.00
_cell_angle_gamma 90.00
loop_
_symmetry_equiv_pos_as_xyz
'x,y,z'
loop_
_atom_site_label
_atom_site_type_symbol
_atom_site_fract_x
_atom_site_fract_y
_atom_site_fract_z
Rb1 Rb 0.186 0.250 0.014
Rb2 Rb 0.314 0.750 0.514
Rb3 Rb 0.686 0.250 0.486
Rb4 Rb 0.814 0.750 0.986
Cu1 Cu 0.008 0.001 0.338
Cu2 Cu 0.008 0.499 0.338
Cu3 Cu 0.492 0.501 0.838
Cu4 Cu 0.492 0.999 0.838
Cu5 Cu 0.508 0.001 0.162
Cu6 Cu 0.508 0.499 0.162
Cu7 Cu 0.992 0.501 0.662
Cu8 Cu 0.992 0.999 0.662
I1 I 0.102 0.750 0.807
I2 I 0.109 0.250 0.511
I3 I 0.146 0.750 0.234
I4 I 0.354 0.250 0.734
I5 I 0.391 0.750 0.011
I6 I 0.398 0.250 0.307
I7 I 0.602 0.750 0.693
I8 I 0.609 0.250 0.989
I9 I 0.646 0.750 0.266
I10 I 0.854 0.250 0.766
I11 I 0.891 0.750 0.489
I12 I 0.898 0.250 0.193

=====

Q: The highest energy of formation from the pure elements belongs to which entry?
A: CuP4Se3I

=====

Q: The highest energy of formation from the pure elements belongs to which entry?
A: CuP4Se3I

=====

Q: Which of these has the highest energy of formation from the pure elements?
A: CuP4Se3I

=====

Q: What is the formula in the first record?
A: Cu3P8Se6I3